Entry 1:
Ho3ReO8: optimized geometry, meta-GGA r2SCAN.

Cell: 7.1580 5.9826 14.3000 Å, 90.00 111.38 90.00°
Element x y z (fractional)
1 Ho 0.0939 0.2424 0.2022
2 Ho 0.0939 0.2576 0.7022
3 Ho 0.1615 0.1999 0.4450
4 Ho 0.1615 0.3001 0.9450
5 Ho 0.3923 0.6899 0.3327
6 Ho 0.3923 0.8101 0.8327
7 Ho 0.6077 0.1899 0.1673
8 Ho 0.6077 0.3101 0.6673
9 Ho 0.8385 0.6999 0.0550
10 Ho 0.8385 0.8001 0.5550
11 Ho 0.9061 0.7424 0.2978
12 Ho 0.9061 0.7576 0.7978
13 Re 0.3209 0.7459 0.0897
14 Re 0.3209 0.7541 0.5897
15 Re 0.6791 0.2459 0.4103
16 Re 0.6791 0.2541 0.9103
17 O 0.0821 0.6937 0.9789
18 O 0.0821 0.8063 0.4789
19 O 0.1477 0.0279 0.8429
20 O 0.1477 0.4721 0.3429
21 O 0.1655 0.6472 0.1708
22 O 0.1655 0.8528 0.6708
23 O 0.1888 0.5280 0.8270
24 O 0.1888 0.9720 0.3270
25 O 0.2477 0.0470 0.0958
26 O 0.2477 0.4530 0.5958
27 O 0.3795 0.0545 0.5888
28 O 0.3795 0.4455 0.0888
29 O 0.4652 0.2026 0.7854
30 O 0.4652 0.2974 0.2854
31 O 0.4783 0.6973 0.5184
32 O 0.4783 0.8027 0.0184
33 O 0.5217 0.1973 0.9816
34 O 0.5217 0.3027 0.4816
35 O 0.5348 0.7026 0.7146
36 O 0.5348 0.7974 0.2146
37 O 0.6205 0.5545 0.9112
38 O 0.6205 0.9455 0.4112
39 O 0.7523 0.5470 0.4042
40 O 0.7523 0.9530 0.9042
41 O 0.8112 0.0280 0.6730
42 O 0.8112 0.4720 0.1730
43 O 0.8345 0.1472 0.3292
44 O 0.8345 0.3528 0.8292
45 O 0.8523 0.5279 0.6571
46 O 0.8523 0.9721 0.1571
47 O 0.9179 0.1937 0.5211
48 O 0.9179 0.3063 0.0211

Calculated values
- final energy (eV for the cell shown) = -945.8
- ΔE_f (eV per formula unit) = -37.618

***

Entry 2:
SrRhF6: optimized geometry, meta-GGA r2SCAN.

Cell: 4.7631 4.7631 4.7631 Å, 98.34 98.34 98.34°
Element x y z (fractional)
1 Sr 0.0000 0.0000 0.0000
2 Rh 0.5000 0.5000 0.5000
3 F 0.2093 0.2093 0.5719
4 F 0.2093 0.5719 0.2093
5 F 0.4281 0.7907 0.7907
6 F 0.5719 0.2093 0.2093
7 F 0.7907 0.4281 0.7907
8 F 0.7907 0.7907 0.4281

Calculated values
- final energy (eV for the cell shown) = -79.3
- ΔE_f (eV per formula unit) = -21.308

***

Entry 3:
MnP2O7: optimized geometry, meta-GGA r2SCAN.

Cell: 4.8893 6.5298 8.0425 Å, 68.12 88.21 88.29°
Element x y z (fractional)
1 Mn 0.2404 0.2112 0.2318
2 Mn 0.7596 0.7888 0.7682
3 P 0.2439 0.1056 0.6642
4 P 0.2787 0.4570 0.8136
5 P 0.7213 0.5430 0.1864
6 P 0.7561 0.8944 0.3358
7 O 0.0530 0.9469 0.2777
8 O 0.0887 0.6538 0.7319
9 O 0.1710 0.2877 0.9881
10 O 0.2900 0.3405 0.6723
11 O 0.3070 0.1386 0.4725
12 O 0.4290 0.4769 0.1769
13 O 0.4401 0.9417 0.7935
14 O 0.5599 0.0583 0.2065
15 O 0.5710 0.5231 0.8231
16 O 0.6930 0.8614 0.5275
17 O 0.7100 0.6595 0.3277
18 O 0.8290 0.7123 0.0119
19 O 0.9113 0.3462 0.2681
20 O 0.9470 0.0531 0.7223

Calculated values
- energy relative to the lowest polymorph listed for this composition (meV/atom) = 8
- final energy (eV for the cell shown) = -193.9
- ΔE_f (eV per formula unit) = -22.477

***

Entry 4:
Cs2TlCl5: optimized geometry, meta-GGA r2SCAN.

Cell: 9.4184 7.5297 15.0714 Å, 90.00 90.00 90.00°
Element x y z (fractional)
1 Cs 0.0316 0.2500 0.2026
2 Cs 0.1757 0.7500 0.4216
3 Cs 0.3243 0.2500 0.9216
4 Cs 0.4684 0.7500 0.7026
5 Cs 0.5316 0.2500 0.2974
6 Cs 0.6757 0.7500 0.0784
7 Cs 0.8243 0.2500 0.5784
8 Cs 0.9684 0.7500 0.7974
9 Tl 0.1875 0.7500 0.0700
10 Tl 0.3125 0.2500 0.5700
11 Tl 0.6875 0.7500 0.4300
12 Tl 0.8125 0.2500 0.9300
13 Cl 0.0000 0.0000 0.0000
14 Cl 0.0000 0.5000 0.0000
15 Cl 0.0251 0.7500 0.2020
16 Cl 0.1573 0.5069 0.6238
17 Cl 0.1573 0.9931 0.6238
18 Cl 0.2026 0.2500 0.4151
19 Cl 0.2974 0.7500 0.9151
20 Cl 0.3427 0.0069 0.1238
21 Cl 0.3427 0.4931 0.1238
22 Cl 0.4749 0.2500 0.7020
23 Cl 0.5000 0.0000 0.5000
24 Cl 0.5000 0.5000 0.5000
25 Cl 0.5251 0.7500 0.2980
26 Cl 0.6573 0.5069 0.8762
27 Cl 0.6573 0.9931 0.8762
28 Cl 0.7026 0.2500 0.0849
29 Cl 0.7974 0.7500 0.5849
30 Cl 0.8427 0.0069 0.3762
31 Cl 0.8427 0.4931 0.3762
32 Cl 0.9749 0.2500 0.7980

Calculated values
- final energy (eV for the cell shown) = -587.1
- ΔE_f (eV per formula unit) = -12.623

***

Entry 5:
Al2O3: optimized geometry, meta-GGA r2SCAN.

Cell: 5.1202 5.1202 7.1188 Å, 103.57 103.57 37.24°
Element x y z (fractional)
1 Al 0.1159 0.1159 0.4316
2 Al 0.2373 0.2373 0.8429
3 Al 0.7627 0.7627 0.1571
4 Al 0.8841 0.8841 0.5684
5 O 0.0724 0.0724 0.6671
6 O 0.1933 0.1933 0.0886
7 O 0.3234 0.3234 0.6224
8 O 0.6766 0.6766 0.3776
9 O 0.8067 0.8067 0.9114
10 O 0.9276 0.9276 0.3329

Calculated values
- final energy (eV for the cell shown) = -95.4
- ΔE_f (eV per formula unit) = -16.325

***

Entry 6:
Na3BO3: optimized geometry, meta-GGA r2SCAN.

Cell: 5.6459 7.3961 9.5070 Å, 90.00 123.47 90.00°
Element x y z (fractional)
1 Na 0.0465 0.1501 0.4278
2 Na 0.0465 0.3499 0.9278
3 Na 0.2079 0.5268 0.4555
4 Na 0.2079 0.9732 0.9555
5 Na 0.4008 0.2214 0.2751
6 Na 0.4008 0.2786 0.7751
7 Na 0.5992 0.7214 0.2249
8 Na 0.5992 0.7786 0.7249
9 Na 0.7921 0.0268 0.0445
10 Na 0.7921 0.4732 0.5445
11 Na 0.9535 0.6501 0.0722
12 Na 0.9535 0.8499 0.5722
13 B 0.2804 0.6607 0.8473
14 B 0.2804 0.8393 0.3473
15 B 0.7196 0.1607 0.6527
16 B 0.7196 0.3393 0.1527
17 O 0.0590 0.6491 0.8716
18 O 0.0590 0.8509 0.3716
19 O 0.2526 0.5814 0.7067
20 O 0.2526 0.9186 0.2067
21 O 0.4840 0.2323 0.0465
22 O 0.4840 0.2677 0.5465
23 O 0.5160 0.7323 0.4535
24 O 0.5160 0.7677 0.9535
25 O 0.7474 0.0814 0.7933
26 O 0.7474 0.4186 0.2933
27 O 0.9410 0.1491 0.6284
28 O 0.9410 0.3509 0.1284

Calculated values
- final energy (eV for the cell shown) = -204.5
- ΔE_f (eV per formula unit) = -15.160

***

Entry 7:
LaNdHg2: optimized geometry, meta-GGA r2SCAN.

Cell: 7.7086 7.7086 7.7086 Å, 90.00 90.00 90.00°
Element x y z (fractional)
1 La 0.0000 0.0000 0.0000
2 La 0.0000 0.5000 0.5000
3 La 0.5000 0.0000 0.5000
4 La 0.5000 0.5000 0.0000
5 Nd 0.0000 0.0000 0.5000
6 Nd 0.0000 0.5000 0.0000
7 Nd 0.5000 0.0000 0.0000
8 Nd 0.5000 0.5000 0.5000
9 Hg 0.2500 0.2500 0.2500
10 Hg 0.2500 0.2500 0.7500
11 Hg 0.2500 0.7500 0.2500
12 Hg 0.2500 0.7500 0.7500
13 Hg 0.7500 0.2500 0.2500
14 Hg 0.7500 0.2500 0.7500
15 Hg 0.7500 0.7500 0.2500
16 Hg 0.7500 0.7500 0.7500

Calculated values
- final energy (eV for the cell shown) = -640.7
- ΔE_f (eV per formula unit) = -2.279

***

Entry 8:
CeGaCu4: optimized geometry, meta-GGA r2SCAN.

Cell: 5.1142 8.8644 4.1444 Å, 90.00 90.00 90.00°
Element x y z (fractional)
1 Ce 0.0000 0.0000 0.0000
2 Ce 0.5000 0.5000 0.0000
3 Ga 0.0000 0.5000 0.5000
4 Ga 0.5000 0.0000 0.5000
5 Cu 0.0000 0.3299 0.0000
6 Cu 0.0000 0.6701 0.0000
7 Cu 0.2500 0.2500 0.5000
8 Cu 0.2500 0.7500 0.5000
9 Cu 0.5000 0.1701 0.0000
10 Cu 0.5000 0.8299 0.0000
11 Cu 0.7500 0.2500 0.5000
12 Cu 0.7500 0.7500 0.5000

Calculated values
- final energy (eV for the cell shown) = -174.5
- ΔE_f (eV per formula unit) = -1.567

***

Entry 9:
TmNi4B: optimized geometry, meta-GGA r2SCAN.

Cell: 4.8965 4.8965 6.8641 Å, 90.00 90.00 120.00°
Element x y z (fractional)
1 Tm 0.0000 0.0000 0.0000
2 Tm 0.0000 0.0000 0.5000
3 Ni 0.0000 0.5000 0.2090
4 Ni 0.0000 0.5000 0.7910
5 Ni 0.3333 0.6667 0.5000
6 Ni 0.5000 0.0000 0.2090
7 Ni 0.5000 0.0000 0.7910
8 Ni 0.5000 0.5000 0.2090
9 Ni 0.5000 0.5000 0.7910
10 Ni 0.6667 0.3333 0.5000
11 B 0.3333 0.6667 0.0000
12 B 0.6667 0.3333 0.0000

Calculated values
- final energy (eV for the cell shown) = -186.8
- ΔE_f (eV per formula unit) = -3.013

***

Entry 10:
ZrMn6Sn6: optimized geometry, meta-GGA r2SCAN.

Cell: 5.5935 5.5935 9.1337 Å, 90.00 90.00 120.00°
Element x y z (fractional)
1 Zr 0.0000 0.0000 0.0000
2 Mn 0.0000 0.5000 0.2463
3 Mn 0.0000 0.5000 0.7537
4 Mn 0.5000 0.0000 0.2463
5 Mn 0.5000 0.0000 0.7537
6 Mn 0.5000 0.5000 0.2463
7 Mn 0.5000 0.5000 0.7537
8 Sn 0.0000 0.0000 0.3292
9 Sn 0.0000 0.0000 0.6708
10 Sn 0.3333 0.6667 0.0000
11 Sn 0.3333 0.6667 0.5000
12 Sn 0.6667 0.3333 0.0000
13 Sn 0.6667 0.3333 0.5000

Calculated values
- final energy (eV for the cell shown) = -261.9
- ΔE_f (eV per formula unit) = -2.571

***

Entry 11:
K2GdCl5: optimized geometry, meta-GGA r2SCAN.

Cell: 12.6947 8.6142 7.9539 Å, 90.00 90.00 90.00°
Element x y z (fractional)
1 K 0.1719 0.0041 0.0526
2 K 0.1719 0.4959 0.0526
3 K 0.3281 0.5041 0.5526
4 K 0.3281 0.9959 0.5526
5 K 0.6719 0.0041 0.4474
6 K 0.6719 0.4959 0.4474
7 K 0.8281 0.5041 0.9474
8 K 0.8281 0.9959 0.9474
9 Gd 0.0050 0.2500 0.5752
10 Gd 0.4950 0.7500 0.0752
11 Gd 0.5050 0.2500 0.9248
12 Gd 0.9950 0.7500 0.4248
13 Cl 0.0096 0.2500 0.9193
14 Cl 0.0758 0.5431 0.6638
15 Cl 0.0758 0.9569 0.6638
16 Cl 0.1776 0.2500 0.3754
17 Cl 0.2022 0.7500 0.3386
18 Cl 0.2978 0.2500 0.8386
19 Cl 0.3224 0.7500 0.8754
20 Cl 0.4242 0.0431 0.1638
21 Cl 0.4242 0.4569 0.1638
22 Cl 0.4904 0.7500 0.4193
23 Cl 0.5096 0.2500 0.5807
24 Cl 0.5758 0.5431 0.8362
25 Cl 0.5758 0.9569 0.8362
26 Cl 0.6776 0.2500 0.1246
27 Cl 0.7022 0.7500 0.1614
28 Cl 0.7978 0.2500 0.6614
29 Cl 0.8224 0.7500 0.6246
30 Cl 0.9242 0.0431 0.3362
31 Cl 0.9242 0.4569 0.3362
32 Cl 0.9904 0.7500 0.0807

Calculated values
- final energy (eV for the cell shown) = -421.8
- ΔE_f (eV per formula unit) = -19.251

***

Entry 12:
Rb3AsSe4: optimized geometry, meta-GGA r2SCAN.

Cell: 9.7415 11.4571 10.1317 Å, 90.00 90.00 90.00°
Element x y z (fractional)
1 Rb 0.0575 0.0433 0.1948
2 Rb 0.0575 0.4567 0.1948
3 Rb 0.1491 0.7500 0.4158
4 Rb 0.3509 0.2500 0.9158
5 Rb 0.4425 0.5433 0.6948
6 Rb 0.4425 0.9567 0.6948
7 Rb 0.5575 0.0433 0.3052
8 Rb 0.5575 0.4567 0.3052
9 Rb 0.6491 0.7500 0.0842
10 Rb 0.8509 0.2500 0.5842
11 Rb 0.9425 0.5433 0.8052
12 Rb 0.9425 0.9567 0.8052
13 As 0.2280 0.7500 0.9758
14 As 0.2720 0.2500 0.4758
15 As 0.7280 0.7500 0.5242
16 As 0.7720 0.2500 0.0242
17 Se 0.0161 0.7500 0.0857
18 Se 0.1509 0.0815 0.5302
19 Se 0.1509 0.4185 0.5302
20 Se 0.1875 0.7500 0.7500
21 Se 0.3125 0.2500 0.2500
22 Se 0.3491 0.5815 0.0302
23 Se 0.3491 0.9185 0.0302
24 Se 0.4839 0.2500 0.5857
25 Se 0.5161 0.7500 0.4143
26 Se 0.6509 0.0815 0.9698
27 Se 0.6509 0.4185 0.9698
28 Se 0.6875 0.7500 0.7500
29 Se 0.8125 0.2500 0.2500
30 Se 0.8491 0.5815 0.4698
31 Se 0.8491 0.9185 0.4698
32 Se 0.9839 0.2500 0.9143

Calculated values
- final energy (eV for the cell shown) = -486.5
- ΔE_f (eV per formula unit) = -7.880

***

Entry 13:
Pm2InHg: optimized geometry, meta-GGA r2SCAN.

Cell: 7.6467 7.6467 7.6467 Å, 90.00 90.00 90.00°
Element x y z (fractional)
1 Pm 0.2500 0.2500 0.2500
2 Pm 0.2500 0.2500 0.7500
3 Pm 0.2500 0.7500 0.2500
4 Pm 0.2500 0.7500 0.7500
5 Pm 0.7500 0.2500 0.2500
6 Pm 0.7500 0.2500 0.7500
7 Pm 0.7500 0.7500 0.2500
8 Pm 0.7500 0.7500 0.7500
9 In 0.0000 0.0000 0.0000
10 In 0.0000 0.5000 0.5000
11 In 0.5000 0.0000 0.5000
12 In 0.5000 0.5000 0.0000
13 Hg 0.0000 0.0000 0.5000
14 Hg 0.0000 0.5000 0.0000
15 Hg 0.5000 0.0000 0.0000
16 Hg 0.5000 0.5000 0.5000

Calculated values
- final energy (eV for the cell shown) = -533.8
- ΔE_f (eV per formula unit) = -2.416

***

Entry 14:
Cs3TiF7: optimized geometry, meta-GGA r2SCAN.

Cell: 8.3911 8.3911 6.3056 Å, 90.00 90.00 90.00°
Element x y z (fractional)
1 Cs 0.0000 0.0000 0.0000
2 Cs 0.1905 0.3095 0.5000
3 Cs 0.3095 0.8095 0.5000
4 Cs 0.5000 0.5000 0.0000
5 Cs 0.6905 0.1905 0.5000
6 Cs 0.8095 0.6905 0.5000
7 Ti 0.0000 0.5000 0.0000
8 Ti 0.5000 0.0000 0.0000
9 F 0.0000 0.0000 0.5000
10 F 0.1109 0.6109 0.2128
11 F 0.1109 0.6109 0.7872
12 F 0.1582 0.3418 0.0000
13 F 0.3418 0.8418 0.0000
14 F 0.3891 0.1109 0.2128
15 F 0.3891 0.1109 0.7872
16 F 0.5000 0.5000 0.5000
17 F 0.6109 0.8891 0.2128
18 F 0.6109 0.8891 0.7872
19 F 0.6582 0.1582 0.0000
20 F 0.8418 0.6582 0.0000
21 F 0.8891 0.3891 0.2128
22 F 0.8891 0.3891 0.7872

Calculated values
- final energy (eV for the cell shown) = -294.8
- ΔE_f (eV per formula unit) = -37.264

***

Entry 15:
U2TeO2: optimized geometry, meta-GGA r2SCAN.

Cell: 4.0051 4.0051 12.6065 Å, 90.00 90.00 90.00°
Element x y z (fractional)
1 U 0.0000 0.0000 0.1519
2 U 0.0000 0.0000 0.8481
3 U 0.5000 0.5000 0.3481
4 U 0.5000 0.5000 0.6519
5 Te 0.0000 0.0000 0.5000
6 Te 0.5000 0.5000 0.0000
7 O 0.0000 0.5000 0.2500
8 O 0.0000 0.5000 0.7500
9 O 0.5000 0.0000 0.2500
10 O 0.5000 0.0000 0.7500

Calculated values
- final energy (eV for the cell shown) = -421.4
- ΔE_f (eV per formula unit) = -13.468